# LiMnF3 | the Materials Project | GGA+U | optimized geometry
# Energy above the most stable polymorph in this dataset = 57 meV/atom
# Formation energy = -14.84 eV per formula unit
data_LiMnF3
_cell_length_a 8.8594
_cell_length_b 8.8594
_cell_length_c 6.2549
_cell_angle_alpha 90.00
_cell_angle_beta 90.00
_cell_angle_gamma 90.00
_space_group_name_H-M_alt 'P 1'
_space_group_IT_number 1
loop_
_space_group_symop_operation_xyz
'x,y,z'
loop_
_atom_site_label
_atom_site_type_symbol
_atom_site_fract_x
_atom_site_fract_y
_atom_site_fract_z
F1 F 0.4499 0.3455 0.6462
F2 F 0.5016 0.1410 0.2734
F3 F 0.4984 0.8590 0.2734
F4 F 0.3222 0.3276 0.0629
F5 F 0.6778 0.6724 0.0629
F6 F 0.3455 0.5501 0.3538
F7 F 0.6724 0.3222 0.9371
F8 F 0.6545 0.4499 0.3538
F9 F 0.8276 0.1778 0.5629
F10 F 0.6410 0.9984 0.7734
F11 F 0.0501 0.1545 0.8538
F12 F 0.9499 0.8455 0.8538
F13 F 0.8455 0.0501 0.1462
F14 F 0.1724 0.8222 0.5629
F15 F 0.1410 0.4984 0.7266
F16 F 0.3276 0.6778 0.9371
F17 F 0.8590 0.5016 0.7266
F18 F 0.0016 0.6410 0.2266
F19 F 0.3590 0.0016 0.7734
F20 F 0.1545 0.9499 0.1462
F21 F 0.5501 0.6545 0.6462
F22 F 0.8222 0.8276 0.4371
F23 F 0.1778 0.1724 0.4371
F24 F 0.9984 0.3590 0.2266
Li1 Li 0.8493 0.0517 0.8387
Li2 Li 0.1507 0.9483 0.8387
Li3 Li 0.9483 0.8493 0.1613
Li4 Li 0.4483 0.3493 0.3387
Li5 Li 0.6507 0.4483 0.6613
Li6 Li 0.0517 0.1507 0.1613
Li7 Li 0.3493 0.5517 0.6613
Li8 Li 0.5517 0.6507 0.3387
Mn1 Mn 0.5228 0.8071 0.8971
Mn2 Mn 0.0228 0.3071 0.6029
Mn3 Mn 0.9772 0.6929 0.6029
Mn4 Mn 0.8071 0.4772 0.1029
Mn5 Mn 0.3071 0.9772 0.3971
Mn6 Mn 0.1929 0.5228 0.1029
Mn7 Mn 0.4772 0.1929 0.8971
Mn8 Mn 0.6929 0.0228 0.3971